--- w ---
Density functional theory data (GGA+U) for a geometry-optimized Al2FeO4 structure.

abc: 19.4248 19.4248 19.4248
angles: 17.21 17.21 17.21
Closest atoms and distances in Å follow each position.
Element x y z (fractional)
Al: 0.0000 0.0000 0.0000  4 O 1.85-1.86
Al: 0.0951 0.0951 0.0951  6 O 1.93-1.94
Al: 0.2137 0.7227 0.7227  6 O 1.90-2.01
Al: 0.2226 0.2226 0.7170  6 O 1.89-2.10
Al: 0.2226 0.7170 0.2226  6 O 1.89-2.10
Al: 0.2508 0.2508 0.2508  4 O 1.82-1.91
Al: 0.4704 0.9698 0.9698  6 O 1.94
Al: 0.4738 0.4738 0.9632  6 O 1.88-2.05
Al: 0.4738 0.9632 0.4738  6 O 1.88-2.05
Al: 0.7170 0.2226 0.2226  6 O 1.89-2.10
Al: 0.7227 0.2137 0.7227  6 O 1.90-2.01
Al: 0.7227 0.7227 0.2137  6 O 1.90-2.01
Al: 0.8445 0.8445 0.8445  6 O 1.93-1.94
Al: 0.9632 0.4738 0.4738  6 O 1.88-2.05
Al: 0.9698 0.4704 0.9698  6 O 1.94
Al: 0.9698 0.9698 0.4704  6 O 1.94
Fe: 0.1883 0.1883 0.1883  4 O 2.00-2.01
Fe: 0.3460 0.3460 0.3460  6 O 2.08-2.13
Fe: 0.4394 0.4394 0.4394  4 O 1.98-1.99
Fe: 0.5021 0.5021 0.5021  4 O 2.02-2.08
Fe: 0.5954 0.5954 0.5954  6 O 2.07-2.15
Fe: 0.6900 0.6900 0.6900  4 O 1.96-2.01
Fe: 0.7508 0.7508 0.7508  4 O 2.02-2.03
Fe: 0.9391 0.9391 0.9391  4 O 1.99-2.04
O: 0.0117 0.0117 0.5768  3 Al 1.93-1.94, 1 Fe 2.01
O: 0.0117 0.5768 0.0117  3 Al 1.93-1.94, 1 Fe 2.01
O: 0.0324 0.0324 0.0324  1 Al 1.86
O: 0.0611 0.5247 0.5247  2 Al 1.89, 2 Fe 1.96-2.08
O: 0.1154 0.6765 0.6765  3 Al 1.93-1.94, 1 Fe 2.02
O: 0.1534 0.1534 0.1534  3 Al 1.94, 1 Fe 2.00
O: 0.1602 0.1602 0.6456  3 Al 1.85-1.98
O: 0.1602 0.6456 0.1602  3 Al 1.85-1.98
O: 0.2631 0.2631 0.8252  3 Al 1.94, 1 Fe 1.99
O: 0.2631 0.8252 0.2631  3 Al 1.94, 1 Fe 1.99
O: 0.2841 0.2841 0.2841  4 Al 1.91-2.05
O: 0.3151 0.7717 0.7717  2 Al 1.88, 2 Fe 1.99-2.07
O: 0.3589 0.9298 0.9298  3 Al 1.92-1.93, 1 Fe 2.02
O: 0.4049 0.4049 0.4049  3 Al 1.94, 1 Fe 1.98
O: 0.4055 0.4055 0.9049  3 Al 1.82-2.01
O: 0.4055 0.9049 0.4055  3 Al 1.82-2.01
O: 0.5247 0.0611 0.5247  2 Al 1.89, 2 Fe 1.96-2.08
O: 0.5247 0.5247 0.0611  2 Al 1.89, 2 Fe 1.96-2.08
O: 0.5383 0.5383 0.5383  3 Al 1.90, 1 Fe 2.08
O: 0.5768 0.0117 0.0117  3 Al 1.93-1.94, 1 Fe 2.01
O: 0.6456 0.1602 0.1602  3 Al 1.85-1.98
O: 0.6551 0.6551 0.6551  3 Al 1.94, 1 Fe 2.01
O: 0.6765 0.1154 0.6765  3 Al 1.93-1.94, 1 Fe 2.02
O: 0.6765 0.6765 0.1154  3 Al 1.93-1.94, 1 Fe 2.02
O: 0.7717 0.3151 0.7717  2 Al 1.88, 2 Fe 1.99-2.07
O: 0.7717 0.7717 0.3151  2 Al 1.88, 2 Fe 1.99-2.07
O: 0.7862 0.7862 0.7862  3 Al 1.94, 1 Fe 2.03
O: 0.8252 0.2631 0.2631  3 Al 1.94, 1 Fe 1.99
O: 0.9036 0.9036 0.9036  3 Al 1.92, 1 Fe 2.04
O: 0.9049 0.4055 0.4055  3 Al 1.82-2.01
O: 0.9298 0.3589 0.9298  3 Al 1.92-1.93, 1 Fe 2.02
O: 0.9298 0.9298 0.3589  3 Al 1.92-1.93, 1 Fe 2.02

Summary:
The theoretical density is 4.125 g cm⁻³. For the total magnetization, the calculation gives 0.571 μB per atom.

=====

--- x ---
Density functional theory data (GGA+U) for a geometry-optimized Al2FeO4 structure.

abc: 19.3585 19.3585 19.3585
angles: 17.31 17.31 17.31
Closest atoms and distances in Å follow each position.
Element x y z (fractional)
Al: 0.0000 0.0000 0.0000  6 O 1.94
Al: 0.1204 0.6268 0.6268  6 O 1.91-2.00
Al: 0.1247 0.1247 0.6255  6 O 1.94-1.95
Al: 0.1247 0.6255 0.1247  6 O 1.94-1.95
Al: 0.1555 0.1555 0.1555  4 O 1.82-1.85
Al: 0.2501 0.2501 0.2501  6 O 1.92-1.94
Al: 0.3748 0.8751 0.8751  6 O 1.94
Al: 0.3774 0.3774 0.8717  6 O 1.90-2.08
Al: 0.3774 0.8717 0.3774  6 O 1.90-2.08
Al: 0.6255 0.1247 0.1247  6 O 1.94-1.95
Al: 0.6268 0.1204 0.6268  6 O 1.91-2.00
Al: 0.6268 0.6268 0.1204  6 O 1.91-2.00
Al: 0.7495 0.7495 0.7495  6 O 1.93
Al: 0.8717 0.3774 0.3774  6 O 1.90-2.08
Al: 0.8751 0.3748 0.8751  6 O 1.94
Al: 0.8751 0.8751 0.3748  6 O 1.94
Fe: 0.0936 0.0936 0.0936  4 O 2.01
Fe: 0.3437 0.3437 0.3437  4 O 2.00-2.01
Fe: 0.4067 0.4067 0.4067  4 O 2.01-2.07
Fe: 0.5005 0.5005 0.5005  6 O 2.09-2.16
Fe: 0.5943 0.5943 0.5943  4 O 1.98-2.00
Fe: 0.6564 0.6564 0.6564  4 O 2.00-2.01
Fe: 0.8444 0.8444 0.8444  4 O 1.97-2.03
Fe: 0.9056 0.9056 0.9056  4 O 2.02-2.04
O: 0.0202 0.5816 0.5816  3 Al 1.93-1.94, 1 Fe 2.01
O: 0.0585 0.0585 0.0585  3 Al 1.94, 1 Fe 2.01
O: 0.0847 0.0847 0.5140  3 Al 1.92, 1 Fe 2.02
O: 0.0847 0.5140 0.0847  3 Al 1.92, 1 Fe 2.02
O: 0.1680 0.1680 0.7301  3 Al 1.94, 1 Fe 2.00
O: 0.1680 0.7301 0.1680  3 Al 1.94, 1 Fe 2.00
O: 0.1878 0.1878 0.1878  1 Al 1.85
O: 0.2157 0.6794 0.6794  2 Al 1.90, 2 Fe 1.97-2.09
O: 0.2698 0.8319 0.8319  3 Al 1.94, 1 Fe 2.01
O: 0.3086 0.3086 0.3086  3 Al 1.94, 1 Fe 2.01
O: 0.3107 0.3107 0.8089  3 Al 1.82-2.00
O: 0.3107 0.8089 0.3107  3 Al 1.82-2.00
O: 0.4182 0.4182 0.9804  3 Al 1.94, 1 Fe 2.00
O: 0.4182 0.9804 0.4182  3 Al 1.94, 1 Fe 2.00
O: 0.4429 0.4429 0.4429  3 Al 1.91, 1 Fe 2.07
O: 0.4824 0.9164 0.9164  3 Al 1.93, 1 Fe 2.01
O: 0.5140 0.0847 0.0847  3 Al 1.92, 1 Fe 2.02
O: 0.5596 0.5596 0.5596  3 Al 1.94, 1 Fe 1.98
O: 0.5816 0.0202 0.5816  3 Al 1.93-1.94, 1 Fe 2.01
O: 0.5816 0.5816 0.0202  3 Al 1.93-1.94, 1 Fe 2.01
O: 0.6794 0.2157 0.6794  2 Al 1.90, 2 Fe 1.97-2.09
O: 0.6794 0.6794 0.2157  2 Al 1.90, 2 Fe 1.97-2.09
O: 0.6914 0.6914 0.6914  3 Al 1.94, 1 Fe 2.00
O: 0.7301 0.1680 0.1680  3 Al 1.94, 1 Fe 2.00
O: 0.8089 0.3107 0.3107  3 Al 1.82-2.00
O: 0.8088 0.8088 0.8088  3 Al 1.94, 1 Fe 2.03
O: 0.8319 0.2698 0.8319  3 Al 1.94, 1 Fe 2.01
O: 0.8319 0.8319 0.2698  3 Al 1.94, 1 Fe 2.01
O: 0.9164 0.4824 0.9164  3 Al 1.93, 1 Fe 2.01
O: 0.9164 0.9164 0.4824  3 Al 1.93, 1 Fe 2.01
O: 0.9412 0.9412 0.9412  3 Al 1.95, 1 Fe 2.04
O: 0.9804 0.4182 0.4182  3 Al 1.94, 1 Fe 2.00

Summary:
The theoretical density is 4.122 g cm⁻³. For the total magnetization, the calculation gives 0.018 μB per atom.

=====

Top of the stability list: w, leading by 0.320 eV/atom.

=====

--- w ---
Density functional theory data (GGA+U) for a geometry-optimized Li2NiBO4 structure.

abc: 6.1576 7.1380 6.9024
angles: 90.00 90.00 90.00
Closest atoms and distances in Å follow each position.
Element x y z (fractional)
O: 0.5100 0.1680 0.4474  1 B 1.51
O: 0.2008 0.0086 0.8028  1 B 1.48
O: 0.4900 0.8320 0.4475  1 B 1.51
O: 0.0100 0.8320 0.5525  1 B 1.51
O: 0.0100 0.3320 0.0526  1 B 1.51
O: 0.2992 0.5087 0.6972  1 B 1.48
O: 0.9900 0.6680 0.0525  1 B 1.51
O: 0.5100 0.6680 0.9475  1 B 1.51
O: 0.4900 0.3320 0.9474  1 B 1.51
O: 0.7008 0.4914 0.6972  1 B 1.48
O: 0.9900 0.1680 0.5526  1 B 1.51
O: 0.7008 0.9913 0.1971  1 B 1.48
O: 0.7992 0.9913 0.8029  1 B 1.48
O: 0.2992 0.0086 0.1972  1 B 1.48
O: 0.2008 0.5087 0.3028  1 B 1.48
O: 0.7992 0.4914 0.3028  1 B 1.48
Li: 0.7500 0.1923 0.0000  4 O 1.92-2.00
Li: 0.5000 0.0000 0.6795  4 O 2.00-2.03
Li: 0.0000 0.0000 0.3205  4 O 2.00-2.03
Li: 0.0000 0.5000 0.8205  4 O 2.00-2.03
Li: 0.7500 0.6924 0.5000  4 O 1.92-2.00
Li: 0.2500 0.8076 0.0000  4 O 1.92-2.00
Li: 0.2500 0.3077 0.5000  4 O 1.92-2.00
Li: 0.5000 0.5000 0.1795  4 O 2.00-2.03
Ni: 0.2500 0.1887 0.0000  4 O 1.83-1.90
Ni: 0.7500 0.8112 0.0000  4 O 1.83-1.90
Ni: 0.7500 0.3113 0.5000  4 O 1.83-1.90
Ni: 0.2500 0.6888 0.5000  4 O 1.83-1.90
B: 0.0000 0.0000 0.6849  4 O 1.48-1.51
B: 0.5000 0.5000 0.8151  4 O 1.48-1.51
B: 0.5000 0.0000 0.3151  4 O 1.48-1.51
B: 0.0000 0.5000 0.1849  4 O 1.48-1.51

Summary:
The theoretical density is 3.227 g cm⁻³. For the total magnetization, the calculation gives 0.000 μB per atom. Its maximum piezoelectric response is 0.162 C/m2.

=====

--- x ---
Density functional theory data (GGA+U) for a geometry-optimized Li2NiBO4 structure.

abc: 10.0580 6.1006 4.7515
angles: 90.00 90.00 90.00
Closest atoms and distances in Å follow each position.
Element x y z (fractional)
Li: 0.0768 0.2390 0.0000  4 O 1.97-2.06
Li: 0.1597 0.9941 0.5035  4 O 1.91-1.96
Li: 0.3403 0.4941 0.0035  4 O 1.91-1.96
Li: 0.4232 0.7390 0.5000  4 O 1.97-2.06
Li: 0.5768 0.2610 0.0000  4 O 1.97-2.06
Li: 0.6597 0.5059 0.5035  4 O 1.91-1.96
Li: 0.8403 0.0059 0.0035  4 O 1.91-1.96
Li: 0.9232 0.7610 0.5000  4 O 1.97-2.06
Ni: 0.1617 0.4843 0.5056  4 O 1.85-1.89
Ni: 0.3383 0.9843 0.0056  4 O 1.85-1.89
Ni: 0.6617 0.0157 0.5056  4 O 1.85-1.89
Ni: 0.8383 0.5157 0.0056  4 O 1.85-1.89
B: 0.0914 0.7394 0.0103  4 O 1.49-1.50
B: 0.4086 0.2394 0.5103  4 O 1.49-1.50
B: 0.5914 0.7606 0.0103  4 O 1.49-1.50
B: 0.9086 0.2606 0.5103  4 O 1.49-1.50
O: 0.0511 0.2491 0.4188  1 B 1.50
O: 0.0995 0.7319 0.3227  1 B 1.49
O: 0.1564 0.5391 0.8959  1 B 1.49
O: 0.1586 0.9440 0.9114  1 B 1.50
O: 0.3414 0.4440 0.4114  1 B 1.50
O: 0.3436 0.0391 0.3959  1 B 1.49
O: 0.4005 0.2319 0.8227  1 B 1.49
O: 0.4489 0.7491 0.9188  1 B 1.50
O: 0.5511 0.2509 0.4188  1 B 1.50
O: 0.5995 0.7681 0.3227  1 B 1.49
O: 0.6564 0.9609 0.8959  1 B 1.49
O: 0.6586 0.5560 0.9114  1 B 1.50
O: 0.8414 0.0560 0.4114  1 B 1.50
O: 0.8436 0.4609 0.3959  1 B 1.49
O: 0.9005 0.2681 0.8227  1 B 1.49
O: 0.9489 0.7509 0.9188  1 B 1.50

Summary:
The theoretical density is 3.358 g cm⁻³. For the total magnetization, the calculation gives 0.375 μB per atom.

=====

Top of the stability list: x, leading by 0.008 eV/atom.